Below is Li7Mn7P6O24F3 after structural relaxation, with properties calculated at the GGA+U level.

Computed properties:
Crystal system   hexagonal
Total magnetic moment   35.00 μB per formula unit
Excess energy over the best structure of this formula in the dataset   0.043 eV per atom
Space-group type   P6_3
Raw total energy   -655.09 eV for the cell shown
Density   3.373 g/cm3
Energy relative to the elements   -2.609 eV per atom

Geometry as POSCAR:
```
Li7Mn7P6O24F3
1.0
-6.666 8.114 8.648
-4.659 -1.735 -12.663
-3.565 -5.067 2.006
O Li P Mn F
48 14 12 14 6
Direct
0.623 0.625 0.745
0.554 0.439 0.452
0.860 0.435 0.065
0.681 0.999 0.751
0.716 0.856 0.449
0.856 0.141 0.949
0.786 0.541 0.268
0.857 0.716 0.564
0.375 0.998 0.745
0.002 0.377 0.745
0.459 0.245 0.268
0.143 0.284 0.064
0.867 0.986 0.755
0.115 0.554 0.952
0.245 0.786 0.768
0.284 0.144 0.949
0.986 0.119 0.255
0.435 0.575 0.565
0.859 0.143 0.564
0.144 0.859 0.449
0.716 0.859 0.064
0.284 0.141 0.564
0.625 0.002 0.245
0.141 0.857 0.064
0.575 0.140 0.065
0.319 0.001 0.251
0.001 0.682 0.751
0.214 0.459 0.768
0.885 0.446 0.452
0.140 0.565 0.565
0.881 0.867 0.255
0.446 0.561 0.952
0.439 0.885 0.952
0.565 0.425 0.065
0.425 0.860 0.565
0.141 0.284 0.449
0.682 0.681 0.251
0.119 0.133 0.755
0.318 0.319 0.751
0.014 0.881 0.755
0.541 0.755 0.768
0.377 0.375 0.245
0.561 0.115 0.452
0.999 0.318 0.251
0.859 0.716 0.949
0.133 0.014 0.255
0.755 0.214 0.268
0.998 0.623 0.245
0.583 0.873 0.524
0.000 0.000 0.498
0.869 0.293 0.498
0.290 0.417 0.524
0.293 0.423 0.998
0.417 0.127 0.024
0.707 0.577 0.498
0.423 0.131 0.498
0.131 0.707 0.998
0.577 0.869 0.998
0.710 0.583 0.024
0.127 0.710 0.524
0.000 0.000 0.998
0.873 0.290 0.024
0.935 0.749 0.755
0.119 0.488 0.761
0.186 0.935 0.255
0.488 0.369 0.261
0.631 0.119 0.261
0.814 0.065 0.755
0.369 0.881 0.761
0.251 0.186 0.755
0.881 0.512 0.261
0.512 0.631 0.761
0.065 0.251 0.255
0.749 0.814 0.255
0.333 0.667 0.496
0.106 0.500 0.256
0.500 0.606 0.256
0.606 0.106 0.756
0.256 0.190 0.256
0.066 0.256 0.756
0.744 0.810 0.756
0.810 0.066 0.256
0.894 0.500 0.756
0.934 0.744 0.256
0.394 0.894 0.256
0.190 0.934 0.756
0.667 0.333 0.996
0.500 0.394 0.756
0.477 0.750 0.283
0.523 0.250 0.783
0.250 0.727 0.283
0.750 0.273 0.783
0.273 0.523 0.283
0.727 0.477 0.783
```

***

Below is Ho2MgCr2O8 after structural relaxation, with properties calculated at the GGA+U level.

Computed properties:
Crystal system   monoclinic
Total magnetic moment   4.00 μB per formula unit
Excess energy over the best structure of this formula in the dataset   0.022 eV per atom
Space-group type   C2
Raw total energy   -97.15 eV for the cell shown
Density   5.615 g/cm3
Energy relative to the elements   -2.845 eV per atom

Geometry as POSCAR:
```
Ho2MgCr2O8
1.0
5.950 -0.081 -1.681
-3.425 4.864 -1.680
0.003 0.006 6.044
Cr O Ho Mg
2 8 2 1
Direct
0.400 0.650 0.800
0.623 0.373 0.246
0.766 0.850 0.965
0.811 0.364 0.064
0.365 0.773 0.551
0.254 0.201 0.064
0.611 0.185 0.426
0.200 0.616 0.965
0.815 0.741 0.426
0.187 0.278 0.551
0.846 0.096 0.692
0.126 0.876 0.251
0.134 0.384 0.268
```

***

Below is Li2Cr3FeO8 after structural relaxation, with properties calculated at the GGA+U level.

Computed properties:
Crystal system   triclinic
Total magnetic moment   12.00 μB per formula unit
Excess energy over the best structure of this formula in the dataset   0.105 eV per atom
Space-group type   P1
Raw total energy   -190.51 eV for the cell shown
Density   4.174 g/cm3
Energy relative to the elements   -2.012 eV per atom

Geometry as POSCAR:
```
Li2Cr3FeO8
1.0
-2.819 -0.534 4.303
5.987 -1.485 4.566
0.062 6.534 3.891
O Li Cr Fe
16 4 6 2
Direct
0.295 0.896 0.519
0.712 0.964 0.855
0.717 0.474 0.354
0.279 0.035 0.152
0.721 0.715 0.598
0.302 0.643 0.287
0.693 0.354 0.722
0.278 0.537 0.644
0.283 0.277 0.396
0.312 0.145 0.773
0.704 0.854 0.231
0.688 0.605 0.977
0.699 0.107 0.462
0.721 0.213 0.106
0.288 0.786 0.894
0.306 0.395 0.028
0.001 0.002 0.995
0.996 0.505 0.500
0.998 0.748 0.756
0.004 0.244 0.250
0.485 0.314 0.563
0.515 0.936 0.673
0.485 0.815 0.077
0.484 0.564 0.814
0.517 0.186 0.935
0.515 0.436 0.187
0.488 0.061 0.314
0.512 0.689 0.437
```

***

Below is Mn2O3F after structural relaxation, with properties calculated at the GGA+U level.

Computed properties:
Crystal system   orthorhombic
Total magnetic moment   7.00 μB per formula unit
Excess energy over the best structure of this formula in the dataset   0.008 eV per atom
Space-group type   Cmcm
Raw total energy   -165.68 eV for the cell shown
Density   4.624 g/cm3
Energy relative to the elements   -2.033 eV per atom

Geometry as POSCAR:
```
Mn2O3F
1.0
3.164 -3.325 0.000
3.164 3.325 0.000
0.000 0.000 12.073
Mn O F
8 12 4
Direct
0.480 0.520 0.875
0.480 0.520 0.625
0.011 0.989 0.750
0.989 0.011 0.250
0.520 0.480 0.125
0.000 0.000 0.500
0.520 0.480 0.375
0.000 0.000 0.000
0.309 0.309 0.000
0.309 0.309 0.500
0.189 0.811 0.876
0.189 0.811 0.624
0.691 0.691 0.500
0.318 0.293 0.250
0.811 0.189 0.124
0.811 0.189 0.376
0.682 0.707 0.750
0.293 0.318 0.750
0.691 0.691 0.000
0.707 0.682 0.250
0.790 0.210 0.869
0.210 0.790 0.131
0.210 0.790 0.369
0.790 0.210 0.631
```